No. 1
# GGA-PBE Na3B5Se9, optimized geometry
data_Na3B5Se9
_chemical_formula_sum 'Na48 B80 Se144'
_symmetry_space_group_name_H-M 'C 1 2/c 1'
_symmetry_Int_Tables_number 15
_symmetry_space_group_name_Hall '-C 2yc'
_cell_length_a 21.757
_cell_length_b 21.779
_cell_length_c 17.755
_cell_angle_alpha 90.00
_cell_angle_beta 127.62
_cell_angle_gamma 90.00
loop_
_atom_site_label
_atom_site_type_symbol
_atom_site_fract_x
_atom_site_fract_y
_atom_site_fract_z
Na1 Na 0.000 0.000 0.000
Na2 Na 0.000 0.085 0.250
Na3 Na 0.000 0.334 0.750
Na4 Na 0.000 0.500 0.000
Na5 Na 0.038 0.212 0.499
Na6 Na 0.211 0.375 0.252
Na7 Na 0.212 0.461 0.001
Na8 Na 0.250 0.250 0.000
Na9 Na 0.250 0.250 0.500
B1 B 0.020 0.354 0.584
B2 B 0.146 0.272 0.084
B3 B 0.163 0.191 0.251
B4 B 0.163 0.440 0.750
B5 B 0.165 0.125 0.081
B6 B 0.166 0.374 0.581
B7 B 0.185 0.039 0.250
B8 B 0.185 0.288 0.751
B9 B 0.186 0.105 0.417
B10 B 0.187 0.022 0.584
Se1 Se 0.045 0.431 0.669
Se2 Se 0.048 0.366 0.492
Se3 Se 0.068 0.274 0.667
Se4 Se 0.101 0.352 0.999
Se5 Se 0.107 0.266 0.167
Se6 Se 0.113 0.199 0.992
Se7 Se 0.126 0.114 0.162
Se8 Se 0.126 0.182 0.332
Se9 Se 0.130 0.052 0.993
Se10 Se 0.148 0.102 0.501
Se11 Se 0.151 0.025 0.334
Se12 Se 0.153 0.040 0.669
Se13 Se 0.191 0.485 0.334
Se14 Se 0.195 0.383 0.492
Se15 Se 0.195 0.454 0.662
Se16 Se 0.215 0.363 0.838
Se17 Se 0.217 0.295 0.662
Se18 Se 0.235 0.209 0.832
# **Formation energy**: -0.711 eV per atom



No. 2
# GGA-PBE Sr7Cu44As23, optimized geometry
data_Sr7Cu44As23
_chemical_formula_sum 'Sr28 Cu176 As92'
_symmetry_space_group_name_H-M 'F m -3 m'
_symmetry_Int_Tables_number 225
_symmetry_space_group_name_Hall '-F 4 2 3'
_cell_length_a 16.779
_cell_length_b 16.779
_cell_length_c 16.779
_cell_angle_alpha 90.00
_cell_angle_beta 90.00
_cell_angle_gamma 90.00
loop_
_atom_site_label
_atom_site_type_symbol
_atom_site_fract_x
_atom_site_fract_y
_atom_site_fract_z
Sr1 Sr 0.000 0.000 0.000
Sr2 Sr 0.000 0.000 0.244
Cu1 Cu 0.000 0.182 0.182
Cu2 Cu 0.088 0.088 0.412
Cu3 Cu 0.137 0.137 0.254
As1 As 0.000 0.000 0.500
As2 As 0.000 0.172 0.328
As3 As 0.111 0.111 0.111
As4 As 0.250 0.250 0.250
# **Formation energy**: -0.241 eV per atom



No. 3
# GGA-PBE TmTaO4, optimized geometry
data_TmTaO4
_chemical_formula_sum 'Tm2 Ta2 O8'
_symmetry_space_group_name_H-M 'P 1 2/c 1'
_symmetry_Int_Tables_number 13
_symmetry_space_group_name_Hall '-P 2yc'
_cell_length_a 5.103
_cell_length_b 5.484
_cell_length_c 5.286
_cell_angle_alpha 90.00
_cell_angle_beta 96.18
_cell_angle_gamma 90.00
loop_
_atom_site_label
_atom_site_type_symbol
_atom_site_fract_x
_atom_site_fract_y
_atom_site_fract_z
Tm1 Tm 0.000 0.231 0.250
Ta1 Ta 0.500 0.305 0.750
O1 O 0.247 0.084 0.596
O2 O 0.267 0.433 0.999
# **Formation energy**: -3.751 eV per atom



No. 4
# GGA-PBE N, optimized geometry
data_N
_chemical_formula_sum 'N48'
_symmetry_space_group_name_H-M 'R -3 c'
_symmetry_Int_Tables_number 167
_symmetry_space_group_name_Hall '-R 3 2"c'
_cell_length_a 9.4397
_cell_length_b 9.4397
_cell_length_c 12.8447
_cell_angle_alpha 90.00
_cell_angle_beta 90.00
_cell_angle_gamma 120.00
loop_
_atom_site_label
_atom_site_type_symbol
_atom_site_fract_x
_atom_site_fract_y
_atom_site_fract_z
N1 N 0.0000 0.0000 0.0433
N2 N 0.0529 0.2684 0.2226
# **E above lowest polymorph**: 16 meV per atom
# **Formation energy**: 0.016 eV per atom



No. 5
# GGA-PBE Be3Cd4Si3TeO12, optimized geometry
data_Be3Cd4Si3TeO12
_chemical_formula_sum 'Be6 Cd8 Si6 Te2 O24'
_symmetry_space_group_name_H-M 'P -4 3 n'
_symmetry_Int_Tables_number 218
_symmetry_space_group_name_Hall 'P -4n 2 3'
_cell_length_a 8.684
_cell_length_b 8.684
_cell_length_c 8.684
_cell_angle_alpha 90.00
_cell_angle_beta 90.00
_cell_angle_gamma 90.00
loop_
_atom_site_label
_atom_site_type_symbol
_atom_site_fract_x
_atom_site_fract_y
_atom_site_fract_z
Be1 Be 0.000 0.250 0.500
Cd1 Cd 0.185 0.185 0.185
Si1 Si 0.000 0.500 0.250
Te1 Te 0.000 0.000 0.000
O1 O 0.062 0.354 0.646
# **Maximum piezoelectric response**: 0.151 C/m²
# **Formation energy**: -2.547 eV per atom



No. 6
# GGA-PBE ThSiO4, optimized geometry
data_ThSiO4
_chemical_formula_sum 'Th4 Si4 O16'
_symmetry_space_group_name_H-M 'I 41/a m d'
_symmetry_Int_Tables_number 141
_cell_length_a 7.202
_cell_length_b 7.202
_cell_length_c 6.363
_cell_angle_alpha 90.00
_cell_angle_beta 90.00
_cell_angle_gamma 90.00
loop_
_symmetry_equiv_pos_as_xyz
'x,y,z'
'-x,-y,-z'
'-y+1/4,x+3/4,z+1/4'
'y+1/4,-x+3/4,-z+1/4'
'-x+1/2,-y,z+1/2'
'x+1/2,y,-z+1/2'
'y+1/4,-x+1/4,z+3/4'
'-y+1/4,x+1/4,-z+3/4'
'x,-y,-z'
'-x,y,z'
'-y+1/4,-x+1/4,-z+3/4'
'y+1/4,x+1/4,z+3/4'
'-x+1/2,y,-z+1/2'
'x+1/2,-y,z+1/2'
'y+1/4,x+3/4,-z+1/4'
'-y+1/4,-x+3/4,z+1/4'
'x+1/2,y+1/2,z+1/2'
'-x+1/2,-y+1/2,-z+1/2'
'-y+3/4,x+1/4,z+3/4'
'y+3/4,-x+1/4,-z+3/4'
'-x,-y+1/2,z'
'x,y+1/2,-z'
'y+3/4,-x+3/4,z+1/4'
'-y+3/4,x+3/4,-z+1/4'
'x+1/2,-y+1/2,-z+1/2'
'-x+1/2,y+1/2,z+1/2'
'-y+3/4,-x+3/4,-z+1/4'
'y+3/4,x+3/4,z+1/4'
'-x,y+1/2,-z'
'x,-y+1/2,z'
'y+3/4,x+1/4,-z+3/4'
'-y+3/4,-x+1/4,z+3/4'
loop_
_atom_site_label
_atom_site_type_symbol
_atom_site_fract_x
_atom_site_fract_y
_atom_site_fract_z
Th1 Th 0.000 0.250 0.375
Si1 Si 0.000 0.250 0.875
O1 O 0.000 0.074 0.709
# **Formation energy**: -3.826 eV per atom



Please write out number 1 again, unchanged.
# GGA-PBE Na3B5Se9, optimized geometry
data_Na3B5Se9
_chemical_formula_sum 'Na48 B80 Se144'
_symmetry_space_group_name_H-M 'C 1 2/c 1'
_symmetry_Int_Tables_number 15
_symmetry_space_group_name_Hall '-C 2yc'
_cell_length_a 21.757
_cell_length_b 21.779
_cell_length_c 17.755
_cell_angle_alpha 90.00
_cell_angle_beta 127.62
_cell_angle_gamma 90.00
loop_
_atom_site_label
_atom_site_type_symbol
_atom_site_fract_x
_atom_site_fract_y
_atom_site_fract_z
Na1 Na 0.000 0.000 0.000
Na2 Na 0.000 0.085 0.250
Na3 Na 0.000 0.334 0.750
Na4 Na 0.000 0.500 0.000
Na5 Na 0.038 0.212 0.499
Na6 Na 0.211 0.375 0.252
Na7 Na 0.212 0.461 0.001
Na8 Na 0.250 0.250 0.000
Na9 Na 0.250 0.250 0.500
B1 B 0.020 0.354 0.584
B2 B 0.146 0.272 0.084
B3 B 0.163 0.191 0.251
B4 B 0.163 0.440 0.750
B5 B 0.165 0.125 0.081
B6 B 0.166 0.374 0.581
B7 B 0.185 0.039 0.250
B8 B 0.185 0.288 0.751
B9 B 0.186 0.105 0.417
B10 B 0.187 0.022 0.584
Se1 Se 0.045 0.431 0.669
Se2 Se 0.048 0.366 0.492
Se3 Se 0.068 0.274 0.667
Se4 Se 0.101 0.352 0.999
Se5 Se 0.107 0.266 0.167
Se6 Se 0.113 0.199 0.992
Se7 Se 0.126 0.114 0.162
Se8 Se 0.126 0.182 0.332
Se9 Se 0.130 0.052 0.993
Se10 Se 0.148 0.102 0.501
Se11 Se 0.151 0.025 0.334
Se12 Se 0.153 0.040 0.669
Se13 Se 0.191 0.485 0.334
Se14 Se 0.195 0.383 0.492
Se15 Se 0.195 0.454 0.662
Se16 Se 0.215 0.363 0.838
Se17 Se 0.217 0.295 0.662
Se18 Se 0.235 0.209 0.832
# **Formation energy**: -0.711 eV per atom